Record 1
Density functional theory data (PBE+U) for an optimized crystal structure of NaCoO2.

Values from the calculation:
**Spin magnetization**: 0.00 μB/f.u.
**ΔE_f**: -1.456 eV per atom

Cell lengths 3.0097, 3.0097, 5.5083 Å; angles 90.00, 90.00, 120.00 degrees
Space group P-3m1 (No. 164)
Inequivalent atoms, fractional coordinates:
Na  0.0000  0.0000  0.0000 x1
Co  0.0000  0.0000  0.5000 x1
O  0.3333  0.6667  0.6975 x2

---

Record 2
Density functional theory data (PBE+U) for an optimized crystal structure of Li7Mn5O12.

Values from the calculation:
**Spin magnetization**: 18.00 μB/f.u.
**ΔE_f**: -2.137 eV per atom

Cell lengths 6.004, 7.791, 10.236 Å; angles 106.48, 92.48, 103.92 degrees
Space group P-1 (No. 2)
Inequivalent atoms, fractional coordinates:
Li  0.000  0.000  0.000 x1
Li  0.085  0.337  0.259 x2
Li  0.161  0.669  0.503 x2
Li  0.253  0.005  0.251 x2
Li  0.262  0.984  0.734 x2
Li  0.336  0.330  0.999 x2
Li  0.403  0.688  0.264 x2
Li  0.500  0.000  0.500 x1
Mn  0.000  0.000  0.500 x1
Mn  0.080  0.330  0.749 x2
Mn  0.162  0.671  0.005 x2
Mn  0.341  0.327  0.495 x2
Mn  0.414  0.672  0.751 x2
Mn  0.500  0.000  0.000 x1
O  0.020  0.192  0.881 x2
O  0.055  0.166  0.387 x2
O  0.123  0.498  0.110 x2
O  0.131  0.499  0.638 x2
O  0.174  0.843  0.383 x2
O  0.207  0.841  0.895 x2
O  0.284  0.158  0.614 x2
O  0.332  0.157  0.117 x2
O  0.339  0.518  0.879 x2
O  0.386  0.504  0.382 x2
O  0.446  0.829  0.111 x2
O  0.451  0.822  0.632 x2

---

Record 3
Density functional theory data (PBE+U) for an optimized crystal structure of MgSc2Mn4O10.

Values from the calculation:
**Spin magnetization**: 16.00 μB/f.u.
**ΔE_f**: -2.566 eV per atom

Cell lengths 10.166, 4.017, 10.134 Å; angles 90.00, 92.43, 90.00 degrees
Space group C2/m (No. 12)
Inequivalent atoms, fractional coordinates:
Mg  0.000  0.000  0.000 x2
Sc  0.192  0.500  0.259 x4
Mn  0.139  0.500  0.552 x4
Mn  0.155  0.500  0.917 x4
O  0.041  0.500  0.385 x4
O  0.062  0.500  0.104 x4
O  0.171  0.000  0.918 x4
O  0.194  0.000  0.551 x4
O  0.236  0.500  0.735 x4

---

Record 4
Density functional theory data (PBE+U) for an optimized crystal structure of NbTlV2O8.

Values from the calculation:
**Spin magnetization**: 0.00 μB/f.u.
**ΔE_f**: -2.423 eV per atom

Cell lengths 15.244, 5.696, 8.876 Å; angles 90.00, 90.00, 90.00 degrees
Space group Pnma (No. 62)
Inequivalent atoms, fractional coordinates:
Nb  0.120  0.250  0.187 x4
Tl  0.121  0.750  0.565 x4
V  0.028  0.250  0.796 x4
V  0.215  0.750  0.990 x4
O  0.038  0.000  0.255 x8
O  0.058  0.250  0.986 x4
O  0.116  0.250  0.687 x4
O  0.134  0.750  0.868 x4
O  0.185  0.250  0.380 x4
O  0.204  0.007  0.102 x8

---

> spin magnetization of number 3 (MgSc2Mn4O10)?

16.00 μB/f.u.